[1]
TbAl2Au2 (r2SCAN, optimized geometry); electronic total energy = -299.79 eV/cell; space group = P4/nmm; volume = 194.3 Å³ per cell; calculated formation energy = -0.807 eV/atom
1.0
4.296 0.000 0.000
0.000 4.296 0.000
0.000 0.000 10.533
Tb Al Au
2 4 4
direct
0.250 0.250 0.250 Tb
0.750 0.750 0.750 Tb
0.250 0.250 0.633 Al
0.250 0.750 0.000 Al
0.750 0.250 0.000 Al
0.750 0.750 0.367 Al
0.250 0.250 0.866 Au
0.250 0.750 0.500 Au
0.750 0.250 0.500 Au
0.750 0.750 0.134 Au


[2]
PmBiRh2 (r2SCAN, optimized geometry); electronic total energy = -138.31 eV/cell; space group = Fm-3m; volume = 79.5 Å³ per cell; calculated formation energy = -0.499 eV/atom
1.0
0.000 3.413 3.413
3.413 0.000 3.413
3.413 3.413 0.000
Pm Bi Rh
1 1 2
direct
0.000 0.000 0.000 Pm
0.500 0.500 0.500 Bi
0.250 0.250 0.250 Rh
0.750 0.750 0.750 Rh